No. 1
Compound: LiCu5P2O8
Source: the Materials Project database
Functional: PBE
Structure: relaxed

Properties
* distance to the lowest polymorph of the same formula: 17 meV per atom

a b c (Å): 5.5671 6.2321 10.4178
angles (deg): 89.78 89.38 89.61
Sites, in units of the cell vectors:
Li (0.1530, 0.0003, 0.7540)
Li (0.6725, 0.2552, 0.7552)
Cu (0.2289, 0.0002, 0.2568)
Cu (0.3564, 0.2426, 0.4956)
Cu (0.3475, 0.2595, 0.9937)
Cu (0.6529, 0.2443, 0.2540)
Cu (0.7715, 0.5077, 0.0029)
Cu (0.7766, 0.4958, 0.5032)
Cu (0.6532, 0.7533, 0.2532)
Cu (0.6515, 0.7178, 0.7672)
Cu (0.3471, 0.7660, 0.5001)
Cu (0.3593, 0.7371, 0.9952)
P (0.8418, 0.0057, 0.9940)
P (0.8344, 0.0009, 0.5084)
P (0.1739, 0.4945, 0.7463)
P (0.1605, 0.5023, 0.2473)
O (0.8405, 0.0078, 0.3598)
O (0.0900, 0.9985, 0.5661)
O (0.8320, 0.0050, 0.8459)
O (0.1025, 0.0031, 0.0445)
O (0.6961, 0.1996, 0.5667)
O (0.7031, 0.2069, 0.0481)
O (0.3144, 0.2920, 0.7950)
O (0.2960, 0.2992, 0.2998)
O (0.1626, 0.5026, 0.0995)
O (0.9020, 0.5045, 0.3033)
O (0.1754, 0.4975, 0.5976)
O (0.9105, 0.4871, 0.7984)
O (0.2991, 0.7009, 0.3000)
O (0.2928, 0.7077, 0.7958)
O (0.6966, 0.7969, 0.5577)
O (0.7056, 0.8072, 0.0519)


No. 2
Compound: LiCuP4O12
Source: the Materials Project database
Functional: PBE
Structure: relaxed

Properties
* distance to the lowest polymorph of the same formula: 45 meV per atom

a b c (Å): 9.2383 9.3566 10.1989
angles (deg): 90.00 90.00 90.00
Sites, in units of the cell vectors:
Li (0.8533, 0.7545, 0.8313)
Li (0.3533, 0.7455, 0.1687)
Li (0.6467, 0.2455, 0.3313)
Li (0.1467, 0.2545, 0.6687)
Cu (0.5069, 0.2430, 0.7042)
Cu (0.4931, 0.7430, 0.7958)
Cu (0.0069, 0.2570, 0.2958)
Cu (0.9931, 0.7570, 0.2042)
P (0.7069, 0.9585, 0.6084)
P (0.2094, 0.0395, 0.1097)
P (0.7906, 0.5395, 0.3903)
P (0.4991, 0.0236, 0.9728)
P (0.4984, 0.4434, 0.1095)
P (0.5009, 0.5236, 0.5272)
P (0.7931, 0.0415, 0.1084)
P (0.2069, 0.5415, 0.3916)
P (0.0016, 0.5566, 0.6095)
P (0.2931, 0.4585, 0.8916)
P (0.9991, 0.4764, 0.0272)
P (0.9984, 0.0566, 0.8905)
P (0.7094, 0.4605, 0.8903)
P (0.5016, 0.9434, 0.3905)
P (0.2906, 0.9605, 0.6097)
P (0.0009, 0.9764, 0.4728)
O (0.9888, 0.8986, 0.8752)
O (0.1279, 0.4350, 0.9301)
O (0.0038, 0.1373, 0.4542)
O (0.8174, 0.1364, 0.2274)
O (0.6826, 0.8636, 0.7274)
O (0.3655, 0.8986, 0.4812)
O (0.1716, 0.1313, 0.2262)
O (0.6345, 0.3986, 0.0188)
O (0.9994, 0.3838, 0.1454)
O (0.3174, 0.3636, 0.7726)
O (0.1325, 0.6144, 0.5171)
O (0.5038, 0.3627, 0.5458)
O (0.1879, 0.8797, 0.1233)
O (0.1714, 0.3847, 0.3824)
O (0.8739, 0.4291, 0.9280)
O (0.3121, 0.1203, 0.6233)
O (0.6325, 0.8856, 0.4829)
O (0.6279, 0.0650, 0.0699)
O (0.5073, 0.3521, 0.2284)
O (0.1826, 0.6364, 0.2726)
O (0.3286, 0.6153, 0.8824)
O (0.8655, 0.6014, 0.5188)
O (0.8284, 0.6313, 0.2738)
O (0.3739, 0.0709, 0.0720)
O (0.6714, 0.1153, 0.6176)
O (0.4927, 0.8521, 0.2716)
O (0.1261, 0.9291, 0.5720)
O (0.3284, 0.8687, 0.7262)
O (0.0112, 0.3986, 0.6248)
O (0.0073, 0.1479, 0.7716)
O (0.5006, 0.6162, 0.6454)
O (0.4962, 0.8627, 0.9542)
O (0.3675, 0.3856, 0.0171)
O (0.4994, 0.1162, 0.8546)
O (0.6261, 0.5709, 0.4280)
O (0.3721, 0.5650, 0.4301)
O (0.6879, 0.6203, 0.8767)
O (0.0006, 0.8838, 0.3546)
O (0.8721, 0.9350, 0.5699)
O (0.1345, 0.1014, 0.9812)
O (0.9962, 0.6373, 0.0458)
O (0.4888, 0.6014, 0.1248)
O (0.8286, 0.8847, 0.1176)
O (0.6716, 0.3687, 0.7738)
O (0.8121, 0.3797, 0.3767)
O (0.9927, 0.6479, 0.7284)
O (0.5112, 0.1014, 0.3752)
O (0.8675, 0.1144, 0.9829)


No. 3
Compound: Li2CuP2O7
Source: the Materials Project database
Functional: PBE
Structure: relaxed

Properties
* distance to the lowest polymorph of the same formula: 0 meV per atom

a b c (Å): 8.1456 8.1456 8.7835
angles (deg): 65.72 65.72 35.82
Sites, in units of the cell vectors:
Li (0.6642, 0.9580, 0.0524)
Li (0.0420, 0.3358, 0.4476)
Li (0.9580, 0.6642, 0.5524)
Li (0.3358, 0.0420, 0.9476)
Cu (0.0000, 0.0000, 0.5000)
Cu (0.0000, 0.0000, 0.0000)
P (0.5408, 0.2558, 0.3168)
P (0.7442, 0.4592, 0.1832)
P (0.2558, 0.5408, 0.8168)
P (0.4592, 0.7442, 0.6832)
O (0.8811, 0.3262, 0.3402)
O (0.1189, 0.6738, 0.6598)
O (0.9520, 0.2471, 0.0563)
O (0.7529, 0.0480, 0.4437)
O (0.3262, 0.8811, 0.8402)
O (0.2471, 0.9520, 0.5563)
O (0.7428, 0.6161, 0.6069)
O (0.3839, 0.2572, 0.8931)
O (0.2572, 0.3839, 0.3931)
O (0.6161, 0.7428, 0.1069)
O (0.5177, 0.4823, 0.7500)
O (0.4823, 0.5177, 0.2500)
O (0.0480, 0.7529, 0.9437)
O (0.6738, 0.1189, 0.1598)


No. 4
Compound: Li2CuP3O9
Source: the Materials Project database
Functional: PBE
Structure: relaxed

Properties
* distance to the lowest polymorph of the same formula: 0 meV per atom

a b c (Å): 8.5237 8.9663 8.9675
angles (deg): 90.00 90.00 90.00
Sites, in units of the cell vectors:
Li (0.6392, 0.8382, 0.3250)
Li (0.0077, 0.9519, 0.9701)
Li (0.4923, 0.0481, 0.4701)
Li (0.8608, 0.1618, 0.8250)
Li (0.3608, 0.3382, 0.1750)
Li (0.9923, 0.4519, 0.5299)
Li (0.5077, 0.5481, 0.0299)
Li (0.1392, 0.6618, 0.6750)
Cu (0.8482, 0.8694, 0.6043)
Cu (0.6518, 0.1306, 0.1043)
Cu (0.1518, 0.3694, 0.8957)
Cu (0.3482, 0.6306, 0.3957)
P (0.7053, 0.8014, 0.9354)
P (0.4686, 0.8166, 0.6813)
P (0.3147, 0.9893, 0.1923)
P (0.1853, 0.0107, 0.6923)
P (0.0314, 0.1834, 0.1813)
P (0.7947, 0.1986, 0.4354)
P (0.2947, 0.3014, 0.5646)
P (0.5314, 0.3166, 0.8187)
P (0.6853, 0.4893, 0.3077)
P (0.8147, 0.5107, 0.8077)
P (0.9686, 0.6834, 0.3187)
P (0.2053, 0.6986, 0.0646)
O (0.5473, 0.7723, 0.8387)
O (0.8687, 0.8115, 0.3682)
O (0.6557, 0.8366, 0.0907)
O (0.2717, 0.8700, 0.0608)
O (0.5916, 0.8808, 0.5779)
O (0.0954, 0.8834, 0.6257)
O (0.3831, 0.9115, 0.3262)
O (0.8213, 0.8995, 0.8542)
O (0.3613, 0.9566, 0.7347)
O (0.1387, 0.0434, 0.2347)
O (0.6787, 0.1005, 0.3542)
O (0.1169, 0.0885, 0.8262)
O (0.4046, 0.1166, 0.1257)
O (0.9084, 0.1192, 0.0779)
O (0.2283, 0.1300, 0.5608)
O (0.8443, 0.1634, 0.5907)
O (0.6313, 0.1885, 0.8682)
O (0.9527, 0.2277, 0.3387)
O (0.4527, 0.2723, 0.6613)
O (0.1313, 0.3115, 0.1318)
O (0.3443, 0.3366, 0.4093)
O (0.7283, 0.3700, 0.4392)
O (0.4084, 0.3808, 0.9221)
O (0.9046, 0.3834, 0.8743)
O (0.6169, 0.4115, 0.1738)
O (0.1787, 0.3995, 0.6458)
O (0.6387, 0.4566, 0.7653)
O (0.8613, 0.5434, 0.2653)
O (0.3213, 0.6005, 0.1458)
O (0.8831, 0.5885, 0.6738)
O (0.5954, 0.6166, 0.3743)
O (0.0916, 0.6192, 0.4221)
O (0.7717, 0.6300, 0.9392)
O (0.1557, 0.6634, 0.9093)
O (0.3687, 0.6885, 0.6318)
O (0.0473, 0.7277, 0.1613)


No. 5
Compound: Li2CuP3O9
Source: the Materials Project database
Functional: PBE
Structure: relaxed

Properties
* distance to the lowest polymorph of the same formula: 18 meV per atom

a b c (Å): 8.4473 8.7880 9.4436
angles (deg): 90.00 90.00 90.00
Sites, in units of the cell vectors:
Li (0.5475, 0.5290, 0.9314)
Li (0.6644, 0.1310, 0.3680)
Li (0.8356, 0.8690, 0.8680)
Li (0.9525, 0.4710, 0.4314)
Li (0.0475, 0.9710, 0.0686)
Li (0.1644, 0.3690, 0.6320)
Li (0.3356, 0.6310, 0.1320)
Li (0.4525, 0.0290, 0.5686)
Cu (0.6276, 0.8618, 0.1591)
Cu (0.8724, 0.1382, 0.6591)
Cu (0.1276, 0.6382, 0.8409)
Cu (0.3724, 0.3618, 0.3409)
P (0.5238, 0.3185, 0.6847)
P (0.6849, 0.4752, 0.1911)
P (0.7048, 0.8105, 0.5709)
P (0.7952, 0.1895, 0.0709)
P (0.8151, 0.5248, 0.6911)
P (0.9762, 0.6815, 0.1847)
P (0.0238, 0.1815, 0.3153)
P (0.1849, 0.0248, 0.8089)
P (0.2048, 0.6895, 0.4291)
P (0.2952, 0.3105, 0.9291)
P (0.3151, 0.9752, 0.3089)
P (0.4762, 0.8185, 0.8153)
O (0.5364, 0.7799, 0.6562)
O (0.5868, 0.5986, 0.1233)
O (0.6068, 0.8785, 0.9054)
O (0.6305, 0.3860, 0.3175)
O (0.6162, 0.1842, 0.6282)
O (0.6435, 0.4552, 0.7366)
O (0.6569, 0.8668, 0.4281)
O (0.6854, 0.1005, 0.1635)
O (0.7319, 0.3652, 0.0584)
O (0.7681, 0.6348, 0.5584)
O (0.8146, 0.8995, 0.6635)
O (0.8431, 0.1332, 0.9281)
O (0.8565, 0.5448, 0.2366)
O (0.8838, 0.8158, 0.1282)
O (0.8695, 0.6140, 0.8175)
O (0.8932, 0.1215, 0.4054)
O (0.9132, 0.4014, 0.6233)
O (0.9636, 0.2201, 0.1562)
O (0.0364, 0.7201, 0.3438)
O (0.0868, 0.9014, 0.8767)
O (0.1068, 0.6215, 0.0946)
O (0.1305, 0.1140, 0.6825)
O (0.1162, 0.3158, 0.3718)
O (0.1435, 0.0448, 0.2634)
O (0.1569, 0.6332, 0.5719)
O (0.1854, 0.3995, 0.8365)
O (0.2319, 0.1348, 0.9416)
O (0.2681, 0.8652, 0.4416)
O (0.3146, 0.6005, 0.3365)
O (0.3431, 0.3668, 0.0719)
O (0.3565, 0.9552, 0.7634)
O (0.3838, 0.6842, 0.8718)
O (0.3695, 0.8860, 0.1825)
O (0.3932, 0.3785, 0.5946)
O (0.4132, 0.0986, 0.3767)
O (0.4636, 0.2799, 0.8438)


No. 6
Compound: LiCu2P5O15
Source: the Materials Project database
Functional: PBE
Structure: relaxed

a b c (Å): 8.9279 5.6210 13.3608
angles (deg): 65.65 90.00 90.00
Sites, in units of the cell vectors:
Li (0.9892, 0.0943, 0.4625)
Li (0.0108, 0.0943, 0.9625)
Cu (0.3028, 0.1390, 0.0690)
Cu (0.2961, 0.8695, 0.4369)
Cu (0.6972, 0.1390, 0.5690)
Cu (0.7039, 0.8695, 0.9369)
P (0.8251, 0.3218, 0.0854)
P (0.5328, 0.4588, 0.1443)
P (0.0521, 0.0024, 0.2498)
P (0.5320, 0.5415, 0.3577)
P (0.8301, 0.6735, 0.4130)
P (0.1749, 0.3218, 0.5854)
P (0.4672, 0.4588, 0.6443)
P (0.9479, 0.0024, 0.7498)
P (0.4680, 0.5415, 0.8577)
P (0.1699, 0.6735, 0.9130)
O (0.8363, 0.1450, 0.0279)
O (0.8506, 0.6115, 0.0272)
O (0.5440, 0.7208, 0.0455)
O (0.6628, 0.2637, 0.1435)
O (0.1452, 0.9410, 0.1693)
O (0.3873, 0.3123, 0.1639)
O (0.9380, 0.2391, 0.1902)
O (0.5799, 0.4954, 0.2518)
O (0.9408, 0.7594, 0.3071)
O (0.3888, 0.6911, 0.3375)
O (0.1319, 0.0687, 0.3357)
O (0.6660, 0.7310, 0.3579)
O (0.5424, 0.2795, 0.4571)
O (0.8542, 0.3812, 0.4681)
O (0.8430, 0.8444, 0.4730)
O (0.1637, 0.1450, 0.5279)
O (0.1494, 0.6115, 0.5272)
O (0.4560, 0.7208, 0.5455)
O (0.3372, 0.2637, 0.6435)
O (0.8548, 0.9410, 0.6693)
O (0.6127, 0.3123, 0.6639)
O (0.0620, 0.2391, 0.6902)
O (0.4201, 0.4954, 0.7518)
O (0.0592, 0.7594, 0.8071)
O (0.6112, 0.6911, 0.8375)
O (0.8681, 0.0687, 0.8357)
O (0.3340, 0.7310, 0.8579)
O (0.4576, 0.2795, 0.9571)
O (0.1458, 0.3812, 0.9681)
O (0.1570, 0.8444, 0.9730)


Result set for total energy after the MP2020 corrections: -6.174, -7.133, -6.900, -6.964, -6.946, -7.130 eV/atom, one per record in the order listed.
Result set for M_tot: 0.00, 8.00, 2.00, 0.00, 0.00, 4.00 Bohr magnetons per cell, one per record in the order listed.
Result set for E_form: -1.623, -2.298, -2.451, -2.385, -2.367, -2.287 eV per atom, one per record in the order listed.